[1]
Computed, not measured: a relaxed structure of Ti2CoO5 at the meta-GGA r2SCAN level of DFT.

For the energy of formation from the pure elements, the calculation gives -22.34 eV/f.u.

a = 5.197 Å, b = 7.407 Å, c = 10.064 Å
α = 90.00°, β = 90.00°, γ = 70.13°
Fractional positions:
O 0.971 0.657 0.060
O 0.826 0.608 0.750
O 0.071 0.024 0.113
O 0.326 0.108 0.750
O 0.529 0.843 0.560
O 0.429 0.476 0.887
O 0.929 0.976 0.887
O 0.471 0.157 0.440
O 0.571 0.524 0.113
O 0.674 0.891 0.250
O 0.429 0.476 0.613
O 0.529 0.843 0.940
O 0.971 0.657 0.440
O 0.029 0.343 0.940
O 0.029 0.343 0.560
O 0.071 0.024 0.387
O 0.571 0.524 0.387
O 0.929 0.976 0.613
O 0.174 0.391 0.250
O 0.471 0.157 0.060
Ti 0.298 0.433 0.433
Ti 0.202 0.067 0.933
Ti 0.202 0.067 0.567
Ti 0.702 0.567 0.567
Ti 0.798 0.933 0.433
Ti 0.298 0.433 0.067
Ti 0.798 0.933 0.067
Ti 0.702 0.567 0.933
Co 0.786 0.595 0.250
Co 0.286 0.095 0.250
Co 0.714 0.905 0.750
Co 0.214 0.405 0.750

---

[2]
Computed, not measured: a relaxed structure of VCoO3 at the meta-GGA r2SCAN level of DFT.

Its space-group type is R-3. For the energy of formation from the pure elements, the calculation gives -9.97 eV/f.u.

a = 4.889 Å, b = 5.281 Å, c = 4.889 Å
α = 62.43°, β = 119.99°, γ = 117.57°
Fractional positions:
O 0.059 0.255 0.559
O 0.246 0.745 0.059
O 0.754 0.255 0.941
O 0.941 0.745 0.441
O 0.441 0.255 0.246
O 0.558 0.745 0.754
Co 0.844 0.531 0.156
Co 0.156 0.469 0.844
V 0.352 0.056 0.648
V 0.648 0.944 0.352

---

[3]
Computed, not measured: a relaxed structure of Yb2Co2O5 at the meta-GGA r2SCAN level of DFT.

Its space-group type is P4/mmm. For the energy of formation from the pure elements, the calculation gives -21.52 eV/f.u.

a = 3.686 Å, b = 3.686 Å, c = 6.563 Å
α = 90.00°, β = 90.00°, γ = 90.00°
Fractional positions:
Co 0.000 0.000 0.808
Co 0.000 0.000 0.192
O 0.000 0.000 0.500
O 0.000 0.500 0.774
O 0.500 0.000 0.774
O 0.500 0.000 0.226
O 0.000 0.500 0.226
Yb 0.500 0.500 0.000
Yb 0.500 0.500 0.500

---

[4]
Computed, not measured: a relaxed structure of ZnCo2O4 at the meta-GGA r2SCAN level of DFT.

Its energy above the most stable polymorph in this dataset is 205.8 meV/atom. Its space-group type is Cmcm. For the energy of formation from the pure elements, the calculation gives -9.04 eV/f.u.

a = 4.795 Å, b = 4.795 Å, c = 9.420 Å
α = 90.00°, β = 90.00°, γ = 146.04°
Fractional positions:
O 0.768 0.232 0.109
O 0.500 0.500 0.500
O 0.500 0.500 0.000
O 0.232 0.768 0.609
O 0.044 0.956 0.250
O 0.768 0.232 0.391
O 0.956 0.044 0.750
O 0.232 0.768 0.891
Zn 0.608 0.392 0.750
Zn 0.392 0.608 0.250
Co 0.865 0.135 0.931
Co 0.865 0.135 0.569
Co 0.135 0.865 0.069
Co 0.135 0.865 0.431

---

[5]
Computed, not measured: a relaxed structure of ZnCo2O4 at the meta-GGA r2SCAN level of DFT.

Its energy above the most stable polymorph in this dataset is 0.0 meV/atom. Its space-group type is I4_1/amd. For the energy of formation from the pure elements, the calculation gives -10.48 eV/f.u.

a = 5.706 Å, b = 5.701 Å, c = 5.701 Å
α = 90.00°, β = 119.97°, γ = 119.97°
Fractional positions:
O 0.971 0.708 0.736
O 0.471 0.736 0.708
O 0.529 0.264 0.292
O 0.029 0.292 0.264
O 0.971 0.264 0.736
O 0.471 0.736 0.264
O 0.529 0.264 0.736
O 0.029 0.736 0.264
Co 0.500 0.000 0.500
Co 0.500 0.500 0.500
Co 0.000 0.500 0.000
Co 0.000 0.500 0.500
Zn 0.250 0.125 0.875
Zn 0.750 0.875 0.125

---

[6]
Computed, not measured: a relaxed structure of CoP at the meta-GGA r2SCAN level of DFT.

Its space-group type is Pnma. For the energy of formation from the pure elements, the calculation gives -1.00 eV/f.u.

a = 3.249 Å, b = 5.026 Å, c = 5.503 Å
α = 90.00°, β = 90.00°, γ = 90.00°
Fractional positions:
P 0.250 0.692 0.918
P 0.750 0.308 0.082
P 0.750 0.808 0.418
P 0.250 0.192 0.582
Co 0.750 0.001 0.803
Co 0.750 0.501 0.697
Co 0.250 0.999 0.197
Co 0.250 0.499 0.303

---

[7]
Computed, not measured: a relaxed structure of PrCo5P3 at the meta-GGA r2SCAN level of DFT.

Its space-group type is Pnma. For the energy of formation from the pure elements, the calculation gives -6.16 eV/f.u.

a = 3.708 Å, b = 10.350 Å, c = 11.788 Å
α = 90.00°, β = 90.00°, γ = 90.00°
Fractional positions:
Pr 0.750 0.417 0.300
Pr 0.750 0.083 0.800
Pr 0.250 0.917 0.200
Pr 0.250 0.583 0.700
Co 0.750 0.903 0.010
Co 0.750 0.117 0.304
Co 0.750 0.721 0.326
Co 0.750 0.293 0.013
Co 0.250 0.469 0.934
Co 0.750 0.207 0.513
Co 0.250 0.279 0.674
Co 0.250 0.617 0.196
Co 0.250 0.097 0.990
Co 0.750 0.779 0.826
Co 0.250 0.883 0.696
Co 0.250 0.707 0.987
Co 0.750 0.969 0.566
Co 0.250 0.031 0.434
Co 0.750 0.383 0.804
Co 0.250 0.221 0.174
Co 0.250 0.403 0.490
Co 0.250 0.793 0.487
Co 0.750 0.597 0.510
Co 0.750 0.531 0.066
P 0.750 0.722 0.134
P 0.750 0.107 0.105
P 0.750 0.778 0.634
P 0.250 0.278 0.866
P 0.250 0.222 0.366
P 0.750 0.919 0.389
P 0.750 0.393 0.605
P 0.250 0.081 0.611
P 0.250 0.893 0.895
P 0.750 0.581 0.889
P 0.250 0.607 0.395
P 0.250 0.419 0.111

---

Number 5 is which compound? ZnCo2O4